Entry 1:
Density functional theory data (PBE) for a relaxed CrN2 crystal.

abc: 5.3816 9.3317 10.8425
angles: 55.50 90.00 90.00
Sites, in units of the cell vectors:
N 0.8484 0.2609 0.5146
N 0.8317 0.2213 0.7931
N 0.0331 0.4817 0.2200
N 0.6683 0.2213 0.2931
N 0.4669 0.4817 0.7200
N 0.2189 0.0593 0.7289
N 0.6516 0.2609 0.0146
N 0.1516 0.7391 0.4854
N 0.3484 0.7391 0.9854
N 0.7189 0.9407 0.7711
N 0.9669 0.5183 0.7800
N 0.2811 0.0593 0.2289
N 0.5331 0.5183 0.2800
N 0.1683 0.7787 0.2069
N 0.3317 0.7787 0.7069
N 0.7811 0.9407 0.2711
Cr 0.0945 0.8799 0.2970
Cr 0.2295 0.6290 0.6737
Cr 0.5945 0.1201 0.2030
Cr 0.9055 0.1201 0.7030
Cr 0.4055 0.8799 0.7970
Cr 0.7295 0.3710 0.8263
Cr 0.2705 0.6290 0.1737
Cr 0.7705 0.3710 0.3263

Values from the calculation:
For the calculated volume, the calculation gives 18.70 Å³ per atom. As for the magnetic moment: 0.00 μB per formula unit. As for the calculated density: 2.4 g/cm³. Its total energy is -25.87 eV per formula unit. Its space group is P2_1/c, No. 14.


Entry 2:
Density functional theory data (PBE) for a relaxed Cr8Fe3CuS16 crystal.

abc: 6.9119 6.9119 9.7490
angles: 90.00 90.00 90.00
Sites, in units of the cell vectors:
S 0.0000 0.7559 0.3790
S 0.2648 0.0000 0.1307
S 0.7416 0.5000 0.1233
S 0.7352 0.0000 0.1307
S 0.0000 0.7352 0.8693
S 0.2584 0.5000 0.1233
S 0.5000 0.2584 0.8767
S 0.5000 0.7416 0.8767
S 0.2321 0.5000 0.6337
S 0.0000 0.2441 0.3790
S 0.5000 0.7679 0.3663
S 0.7679 0.5000 0.6337
S 0.2441 0.0000 0.6210
S 0.7559 0.0000 0.6210
S 0.0000 0.2648 0.8693
S 0.5000 0.2321 0.3663
Cr 0.5000 0.7492 0.1255
Cr 0.0000 0.2500 0.6248
Cr 0.5000 0.2508 0.1255
Cr 0.7492 0.5000 0.8745
Cr 0.2508 0.5000 0.8745
Cr 0.2500 0.0000 0.3752
Cr 0.7500 0.0000 0.3752
Cr 0.0000 0.7500 0.6248
Cu 0.5000 0.5000 0.5000
Fe 0.5000 0.0000 0.7495
Fe 0.0000 0.0000 0.0000
Fe 0.0000 0.5000 0.2505

Values from the calculation:
For the calculated volume, the calculation gives 16.63 Å³ per atom. As for the magnetic moment: 29.55 μB per formula unit. As for the calculated density: 4.1 g/cm³. Its total energy is -188.57 eV per formula unit. Its space group is P-4m2, No. 115.